1.
# LaMgB5O10, relaxed, DFT PBE
# Size of the total moment (μB per atom): 0.000
# V (Å³ per atom): 9.58
# Energy of formation (kcal/mol of atoms): -71.82
data_LaMgB5O10
_chemical_formula_sum 'La4 Mg4 B20 O40'
_space_group_name_H-M_alt 'P 1 21/c 1'
_space_group_IT_number 14
_space_group_name_Hall '-P 2ybc'
_cell_length_a 8.8987
_cell_length_b 7.6764
_cell_length_c 12.7965
_cell_angle_alpha 90.00
_cell_angle_beta 131.82
_cell_angle_gamma 90.00
loop_
_atom_site_label
_atom_site_type_symbol
_atom_site_fract_x
_atom_site_fract_y
_atom_site_fract_z
La1 La 0.0505 0.1894 0.2352
Mg1 Mg 0.4885 0.5873 0.8790
B1 B 0.0983 0.6706 0.6109
B2 B 0.1586 0.5941 0.0091
B3 B 0.2687 0.0330 0.0520
B4 B 0.3575 0.5844 0.2692
B5 B 0.4875 0.1849 0.9154
O1 O 0.0317 0.7213 0.9915
O2 O 0.0808 0.1040 0.9138
O3 O 0.1218 0.5356 0.8936
O4 O 0.2182 0.7231 0.2421
O5 O 0.2336 0.5233 0.6454
O6 O 0.3182 0.6269 0.5099
O7 O 0.3230 0.5366 0.1410
O8 O 0.3265 0.0778 0.8153
O9 O 0.4374 0.1551 0.1245
O10 O 0.4375 0.1531 0.4307

2.
# Ba2TbBiO6, relaxed, DFT PBE
# Size of the total moment (μB per atom): 0.000
# V (Å³ per atom): 16.61
# Energy of formation (kcal/mol of atoms): -65.19
data_Ba2TbBiO6
_chemical_formula_sum 'Ba4 Tb2 Bi2 O12'
_space_group_name_H-M_alt 'C 1 2/m 1'
_space_group_IT_number 12
_space_group_name_Hall '-C 2y'
_cell_length_a 10.6680
_cell_length_b 6.1652
_cell_length_c 6.1909
_cell_angle_alpha 90.00
_cell_angle_beta 125.33
_cell_angle_gamma 90.00
loop_
_atom_site_label
_atom_site_type_symbol
_atom_site_fract_x
_atom_site_fract_y
_atom_site_fract_z
Ba1 Ba 0.2490 0.0000 0.2459
Tb1 Tb 0.0000 0.0000 0.5000
Bi1 Bi 0.0000 0.5000 0.0000
O1 O 0.0283 0.2556 0.7855
O2 O 0.2431 0.5000 0.2964

no.,MP2020-corrected energy (eV per atom)
1,-8.374
2,-7.032